Hf3N4: relaxed, PBE.

Geometry as POSCAR:
```
Hf3N4
1.0
-1.726 -5.454 -2.905
-4.161 -3.970 2.842
-5.935 -0.644 -2.349
Hf N
6 8
Direct
0.000 0.000 0.000
0.625 0.625 0.125
0.250 0.250 0.250
0.625 0.125 0.625
0.625 0.625 0.625
0.125 0.625 0.625
0.867 0.867 0.867
0.383 0.383 0.852
0.852 0.383 0.383
0.867 0.867 0.398
0.383 0.383 0.383
0.867 0.398 0.867
0.398 0.867 0.867
0.383 0.852 0.383
```

Space-group type: No. 227
VASP energy: -74.755 eV/f.u.
Energy above the most stable polymorph in this dataset: 15.7 meV/atom
Formation enthalpy at 0 K: -1253 kJ/mol of formula units

Ba2YMgRuO6: relaxed, PBE.

Geometry as POSCAR:
```
Ba2YMgRuO6
1.0
-0.756 0.875 6.076
-5.962 -1.950 2.688
-0.930 -4.569 3.691
Ba Ru Y O Mg
2 1 1 6 1
Direct
0.314 0.099 0.272
0.702 0.815 0.780
0.505 0.501 0.489
0.949 0.113 0.988
0.213 0.783 0.264
0.282 0.270 0.628
0.279 0.606 0.835
0.740 0.783 0.264
0.819 0.270 0.628
0.733 0.351 0.184
0.077 0.554 0.291
```

Spin magnetization: 1.00 μB/f.u.
Space-group type: No. 8
VASP energy: -74.242 eV/f.u.
Energy above the most stable polymorph in this dataset: 11.8 meV/atom
Formation enthalpy at 0 K: -2653 kJ/mol of formula units

Sb8Cl27F13: relaxed, PBE.

Geometry as POSCAR:
```
Sb8Cl27F13
1.0
-9.757 0.314 -0.289
-4.296 -5.689 -6.877
-3.723 -13.895 10.356
Cl F Sb
27 13 8
Direct
0.324 0.361 0.714
0.728 0.499 0.416
0.510 0.026 0.853
0.080 0.285 0.068
0.217 0.925 0.685
0.667 0.142 0.086
0.957 0.677 0.908
0.882 0.764 0.663
0.812 0.629 0.209
0.807 0.168 0.739
0.156 0.272 0.587
0.337 0.599 0.301
0.338 0.693 0.518
0.316 0.115 0.233
0.765 0.839 0.159
0.254 0.714 0.725
0.969 0.142 0.391
0.728 0.521 0.620
0.283 0.495 0.130
0.585 0.074 0.941
0.724 0.558 0.815
0.716 0.457 0.017
0.770 0.312 0.208
0.405 0.789 0.123
0.340 0.492 0.906
0.236 0.554 0.525
0.086 0.926 0.366
0.046 0.234 0.811
0.030 0.938 0.862
0.570 0.103 0.329
0.321 0.803 0.877
0.454 0.210 0.489
0.125 0.792 0.009
0.904 0.705 0.411
0.360 0.006 0.408
0.497 0.057 0.634
0.572 0.306 0.580
0.943 0.140 0.980
0.992 0.026 0.127
0.617 0.803 0.500
0.400 0.260 0.594
0.696 0.754 0.394
0.209 0.723 0.189
0.348 0.190 0.347
0.659 0.723 0.694
0.159 0.742 0.908
0.868 0.225 0.085
0.850 0.239 0.853
```

Spin magnetization: 0.00 μB/f.u.
Space-group type: No. 1
VASP energy: -159.848 eV/f.u.
Formation enthalpy at 0 K: -5598 kJ/mol of formula units

Rb3YN6: relaxed, PBE.

Geometry as POSCAR:
```
Rb3YN6
1.0
-6.057 5.082 2.079
-4.772 -6.504 1.326
2.708 -0.201 7.711
N Rb Y
12 6 2
Direct
0.941 0.064 0.266
0.564 0.441 0.766
0.436 0.559 0.234
0.064 0.266 0.941
0.441 0.766 0.564
0.059 0.936 0.734
0.234 0.436 0.559
0.559 0.234 0.436
0.936 0.734 0.059
0.734 0.059 0.936
0.766 0.564 0.441
0.266 0.941 0.064
0.905 0.250 0.595
0.750 0.405 0.095
0.405 0.095 0.750
0.595 0.905 0.250
0.250 0.595 0.905
0.095 0.750 0.405
0.000 0.000 0.000
0.500 0.500 0.500
```

Spin magnetization: 12.00 μB/f.u.
Space-group type: No. 167
VASP energy: -44.627 eV/f.u.
Formation enthalpy at 0 K: 1219 kJ/mol of formula units

Li4Cu3SnP4O16: relaxed, PBE.

Geometry as POSCAR:
```
Li4Cu3SnP4O16
1.0
6.003 0.000 0.000
0.000 4.823 0.000
0.000 0.358 10.656
O Cu Li P Sn
16 3 4 4 1
Direct
0.500 0.294 0.032
0.708 0.216 0.342
0.000 0.731 0.961
0.292 0.216 0.342
0.208 0.716 0.165
0.500 0.217 0.546
0.500 0.768 0.423
0.500 0.721 0.880
0.792 0.788 0.667
0.701 0.263 0.823
0.000 0.234 0.588
0.000 0.779 0.464
0.299 0.263 0.823
0.792 0.716 0.165
0.208 0.788 0.667
0.000 0.274 0.091
0.000 0.997 0.280
0.500 0.517 0.225
0.000 0.477 0.804
0.767 0.023 0.023
0.237 0.498 0.481
0.763 0.498 0.481
0.233 0.023 0.023
0.000 0.592 0.096
0.500 0.083 0.408
0.000 0.918 0.591
0.500 0.402 0.896
0.500 0.986 0.714
```

Spin magnetization: 0.99 μB/f.u.
Space-group type: No. 6
VASP energy: -176.499 eV/f.u.
Formation enthalpy at 0 K: -6052 kJ/mol of formula units

RbBC4N4: relaxed, PBE.

Geometry as POSCAR:
```
RbBC4N4
1.0
-3.649 3.649 7.553
3.649 -3.649 7.553
3.649 3.649 -7.553
C Rb N B
8 2 8 2
Direct
0.291 0.539 0.949
0.092 0.541 0.251
0.289 0.840 0.749
0.160 0.908 0.449
0.658 0.709 0.249
0.461 0.410 0.751
0.590 0.342 0.051
0.459 0.711 0.551
0.750 0.250 0.500
0.000 0.000 0.000
0.976 0.387 0.066
0.660 0.226 0.089
0.429 0.340 0.566
0.774 0.863 0.434
0.613 0.679 0.589
0.137 0.571 0.911
0.321 0.910 0.934
0.090 0.024 0.411
0.250 0.750 0.500
0.500 0.500 0.000
```

Spin magnetization: 0.00 μB/f.u.
Space-group type: No. 88
VASP energy: -77.938 eV/f.u.
Formation enthalpy at 0 K: -141 kJ/mol of formula units

> Look up the formation enthalpy at 0 K of the sixth one.

-141 kJ/mol of formula units